Computed, not measured: a relaxed U crystal at the PBE-GGA level of DFT.

```
U
1.0
22.776 0.000 0.000
0.000 5.822 0.000
0.000 0.000 5.043
U
32
direct
0.000 0.217 0.000
0.000 0.783 0.000
0.062 0.280 0.495
0.062 0.720 0.495
0.125 0.246 0.991
0.125 0.754 0.991
0.188 0.221 0.487
0.188 0.779 0.487
0.250 0.282 0.987
0.250 0.718 0.987
0.312 0.221 0.487
0.312 0.779 0.487
0.375 0.246 0.991
0.375 0.754 0.991
0.438 0.280 0.495
0.438 0.720 0.495
0.500 0.217 0.000
0.500 0.783 0.000
0.562 0.280 0.505
0.562 0.720 0.505
0.625 0.246 0.009
0.625 0.754 0.009
0.688 0.221 0.513
0.688 0.779 0.513
0.750 0.282 0.013
0.750 0.718 0.013
0.812 0.221 0.513
0.812 0.779 0.513
0.875 0.246 0.009
0.875 0.754 0.009
0.938 0.280 0.505
0.938 0.720 0.505
```

* offset from the most stable computed form: 360.8 meV per atom
* SG: Pmma (51)



Computed, not measured: a relaxed CdAg crystal at the PBE-GGA level of DFT.

```
CdAg
1.0
3.395 0.000 0.000
0.000 3.395 0.000
0.000 0.000 3.395
Cd Ag
1 1
direct
0.000 0.000 0.000
0.500 0.500 0.500
```

* SG: Pm-3m (221)



Quick rundown of formation energy, same order as above: 0.36, -0.06 eV per atom
Quick rundown of energy, same order as above: -10.931, -1.935 eV per atom